## LiEr2Tl (PBE-GGA)

Data for LiEr2Tl after structural relaxation.

Lattice parameters (Å, degrees): 7.411 7.411 7.411 90.00 90.00 90.00
Space group Fm-3m (No. 225)
Asymmetric unit:
Li: 0.000 0.000 0.000 x4
Er: 0.250 0.250 0.250 x8
Tl: 0.000 0.000 0.500 x4

Computed properties:
Calculated total energy (eV/atom): -3.531
ΔH_f (0 K) (eV per atom): -0.179
V (A^3/atom): 25.4


## Rb3Dy (PBE-GGA)

Data for Rb3Dy after structural relaxation.

Lattice parameters (Å, degrees): 10.184 10.184 10.184 90.00 90.00 90.00
Space group Fm-3m (No. 225)
Asymmetric unit:
Rb: 0.000 0.000 0.000 x4
Rb: 0.250 0.250 0.250 x8
Dy: 0.000 0.000 0.500 x4

Computed properties:
Calculated total energy (eV/atom): -1.245
Energy above the lowest structure with this stoichiometry (meV per atom): 11
ΔH_f (0 K) (eV per atom): 0.642
V (A^3/atom): 66.0